No. 1
CoTeO4 (GGA+U, optimized geometry); uncorrected energy = -67.20 eV per cell; ΔE to the lowest computed polymorph = 0.783 eV/f.u.; MP2020-corrected energy = -6.3309 eV per atom; ρ = 4.99 g/cm3; energy relative to the elements = -1.32 eV/atom; size of the total moment = 3.00 μB per formula unit
1.0
-3.029 3.064 4.494
3.029 -3.064 4.494
3.029 3.064 -4.494
Co Te O
2 2 8
direct
0.000 0.500 0.000 Co
0.000 0.000 0.500 Co
0.500 0.000 0.500 Te
0.000 0.000 0.000 Te
0.188 0.213 0.976 O
0.751 0.779 0.528 O
0.737 0.213 0.524 O
0.751 0.223 0.972 O
0.249 0.777 0.028 O
0.263 0.787 0.476 O
0.249 0.221 0.472 O
0.812 0.787 0.024 O



No. 2
MgCrPbO3 (GGA+U, optimized geometry); uncorrected energy = -37.59 eV per cell; ΔE to the lowest computed polymorph = 0.000 eV/f.u.; MP2020-corrected energy = -6.9420 eV per atom; ρ = 6.65 g/cm3; energy relative to the elements = -1.97 eV/atom; size of the total moment = 4.00 μB per formula unit
1.0
-3.529 -0.418 1.799
0.916 -1.837 5.457
0.735 3.174 2.293
Mg Cr Pb O
1 1 1 3
direct
0.818 0.650 0.818 Mg
0.413 0.458 0.413 Cr
0.180 0.046 0.180 Pb
0.590 0.028 0.590 O
0.371 0.526 0.879 O
0.879 0.526 0.371 O



No. 3
Li2CrNiP2O8 (GGA+U, optimized geometry); uncorrected energy = -188.16 eV per cell; MP2020-corrected energy = -7.4368 eV per atom; ρ = 3.50 g/cm3; energy relative to the elements = -2.46 eV/atom; size of the total moment = 2.00 μB per formula unit
1.0
0.040 0.000 4.758
10.200 0.000 0.089
0.000 6.144 0.000
Li Cr Ni P O
4 2 2 4 16
direct
0.000 0.000 0.000 Li
0.000 0.000 0.500 Li
0.500 0.500 0.000 Li
0.500 0.500 0.500 Li
0.458 0.220 0.750 Cr
0.542 0.780 0.250 Cr
0.981 0.280 0.250 Ni
0.019 0.720 0.750 Ni
0.416 0.095 0.250 P
0.584 0.905 0.750 P
0.917 0.408 0.750 P
0.083 0.592 0.250 P
0.694 0.048 0.750 O
0.306 0.952 0.250 O
0.739 0.100 0.250 O
0.261 0.900 0.750 O
0.242 0.401 0.750 O
0.758 0.599 0.250 O
0.204 0.449 0.250 O
0.796 0.550 0.750 O
0.272 0.165 0.052 O
0.272 0.165 0.448 O
0.728 0.835 0.552 O
0.728 0.835 0.948 O
0.788 0.339 0.545 O
0.788 0.339 0.955 O
0.212 0.661 0.045 O
0.212 0.661 0.455 O



No. 4
MgCrSbO4 (GGA+U, optimized geometry); uncorrected energy = -44.44 eV per cell; ΔE to the lowest computed polymorph = 0.880 eV/f.u.; MP2020-corrected energy = -7.0264 eV per atom; ρ = 4.54 g/cm3; energy relative to the elements = -2.00 eV/atom; size of the total moment = 3.86 μB per formula unit
1.0
-2.219 0.332 5.111
-6.142 -4.939 6.041
-3.245 -4.974 7.296
Mg Cr Sb O
1 1 1 4
direct
0.000 0.000 0.000 Mg
0.500 0.000 0.500 Cr
0.500 0.500 0.500 Sb
0.432 0.999 0.181 O
0.156 0.499 0.263 O
0.568 0.001 0.819 O
0.844 0.501 0.736 O



No. 5
Li2MnCo3O8 (GGA+U, optimized geometry); uncorrected energy = -83.64 eV per cell; ΔE to the lowest computed polymorph = 1.678 eV/f.u.; MP2020-corrected energy = -6.8368 eV per atom; ρ = 4.29 g/cm3; energy relative to the elements = -1.56 eV/atom; size of the total moment = 4.00 μB per formula unit
1.0
5.987 -0.077 0.026
-0.075 5.773 -0.034
2.819 2.825 4.179
Li Mn Co O
2 1 3 8
direct
0.500 0.500 0.500 Li
0.500 0.000 0.500 Li
0.000 0.000 0.000 Mn
0.000 0.500 0.000 Co
0.000 0.500 0.500 Co
0.000 0.000 0.500 Co
0.206 0.747 0.009 O
0.206 0.252 0.010 O
0.210 0.718 0.549 O
0.213 0.223 0.539 O
0.787 0.777 0.461 O
0.790 0.282 0.451 O
0.794 0.748 0.990 O
0.794 0.253 0.991 O



No. 6
MgV2Co2O8 (GGA+U, optimized geometry); uncorrected energy = -88.55 eV per cell; ΔE to the lowest computed polymorph = 0.744 eV/f.u.; MP2020-corrected energy = -7.7480 eV per atom; ρ = 3.87 g/cm3; energy relative to the elements = -2.09 eV/atom; size of the total moment = 6.00 μB per formula unit
1.0
-3.990 1.049 3.212
-0.935 -3.760 3.511
4.025 2.810 4.082
Mg V Co O
1 2 2 8
direct
0.341 0.341 0.750 Mg
0.356 0.356 0.250 V
0.654 0.654 0.750 V
0.998 0.998 0.008 Co
0.998 0.998 0.492 Co
0.241 0.241 0.025 O
0.241 0.241 0.475 O
0.223 0.722 0.250 O
0.276 0.762 0.750 O
0.722 0.223 0.250 O
0.762 0.276 0.750 O
0.770 0.770 0.960 O
0.770 0.770 0.540 O



No. 7
Li2FeP3O10 (GGA+U, optimized geometry); uncorrected energy = -436.62 eV per cell; MP2020-corrected energy = -7.3925 eV per atom; ρ = 2.27 g/cm3; energy relative to the elements = -2.52 eV/atom; size of the total moment = 5.00 μB per formula unit
1.0
8.032 0.000 0.000
0.000 9.740 0.000
0.000 1.353 12.064
Li Fe P O
8 4 12 40
direct
0.540 0.614 0.149 Li
0.960 0.114 0.149 Li
0.887 0.091 0.447 Li
0.613 0.591 0.447 Li
0.387 0.409 0.553 Li
0.113 0.909 0.553 Li
0.040 0.886 0.851 Li
0.460 0.386 0.851 Li
0.144 0.372 0.169 Fe
0.356 0.872 0.169 Fe
0.644 0.128 0.831 Fe
0.856 0.628 0.831 Fe
0.432 0.196 0.063 P
0.068 0.696 0.063 P
0.576 0.087 0.272 P
0.924 0.587 0.272 P
0.216 0.074 0.332 P
0.284 0.574 0.332 P
0.716 0.426 0.668 P
0.784 0.926 0.668 P
0.076 0.413 0.728 P
0.424 0.913 0.728 P
0.932 0.304 0.937 P
0.568 0.804 0.937 P
0.335 0.061 0.083 O
0.005 0.281 0.054 O
0.341 0.329 0.083 O
0.165 0.561 0.083 O
0.495 0.781 0.054 O
0.159 0.829 0.083 O
0.584 0.185 0.154 O
0.916 0.685 0.154 O
0.121 0.176 0.249 O
0.940 0.439 0.245 O
0.279 0.430 0.293 O
0.379 0.676 0.249 O
0.560 0.939 0.245 O
0.221 0.930 0.293 O
0.409 0.131 0.334 O
0.726 0.124 0.335 O
0.091 0.631 0.334 O
0.774 0.624 0.335 O
0.141 0.072 0.447 O
0.359 0.572 0.447 O
0.641 0.428 0.553 O
0.859 0.928 0.553 O
0.226 0.376 0.665 O
0.909 0.369 0.666 O
0.274 0.876 0.665 O
0.591 0.869 0.666 O
0.779 0.070 0.707 O
0.440 0.061 0.755 O
0.621 0.324 0.751 O
0.721 0.570 0.707 O
0.060 0.561 0.755 O
0.879 0.824 0.751 O
0.084 0.315 0.846 O
0.416 0.815 0.846 O
0.841 0.171 0.917 O
0.505 0.219 0.946 O
0.835 0.439 0.917 O
0.659 0.671 0.917 O
0.995 0.719 0.946 O
0.665 0.939 0.917 O



No. 8
MnHSeO4 (GGA+U, optimized geometry); uncorrected energy = -77.13 eV per cell; MP2020-corrected energy = -6.1402 eV per atom; ρ = 3.52 g/cm3; energy relative to the elements = -1.02 eV/atom; size of the total moment = 4.00 μB per formula unit
1.0
4.226 3.574 0.000
-4.226 3.574 0.000
0.000 2.806 6.214
Mn H Se O
2 2 2 8
direct
0.000 0.000 0.000 Mn
0.000 0.000 0.500 Mn
0.938 0.062 0.750 H
0.062 0.938 0.250 H
0.331 0.669 0.750 Se
0.669 0.331 0.250 Se
0.254 0.371 0.923 O
0.746 0.629 0.077 O
0.629 0.746 0.577 O
0.371 0.254 0.423 O
0.315 0.886 0.884 O
0.685 0.114 0.116 O
0.114 0.685 0.616 O
0.886 0.315 0.384 O



No. 9
Sr16La3Co11Cu8O46 (GGA+U, optimized geometry); uncorrected energy = -507.15 eV per cell; MP2020-corrected energy = -6.6282 eV per atom; ρ = 5.69 g/cm3; energy relative to the elements = -2.10 eV/atom; size of the total moment = 30.76 μB per formula unit
1.0
3.946 0.000 0.000
0.000 3.946 0.000
0.000 0.000 69.628
Sr La Co Cu O
16 3 11 8 46
direct
0.500 0.500 0.028 Sr
0.500 0.500 0.081 Sr
0.500 0.500 0.132 Sr
0.500 0.500 0.184 Sr
0.500 0.500 0.237 Sr
0.500 0.500 0.289 Sr
0.500 0.500 0.342 Sr
0.500 0.500 0.394 Sr
0.500 0.500 0.446 Sr
0.500 0.500 0.500 Sr
0.500 0.500 0.553 Sr
0.500 0.500 0.605 Sr
0.500 0.500 0.658 Sr
0.500 0.500 0.710 Sr
0.500 0.500 0.762 Sr
0.500 0.500 0.814 Sr
0.500 0.500 0.867 La
0.500 0.500 0.921 La
0.500 0.500 0.975 La
0.000 0.000 0.003 Co
0.000 0.000 0.053 Co
0.000 0.000 0.684 Co
0.000 0.000 0.789 Co
0.000 0.000 0.841 Co
0.000 0.000 0.895 Co
0.000 0.000 0.473 Co
0.000 0.000 0.525 Co
0.000 0.000 0.631 Co
0.000 0.000 0.737 Co
0.000 0.000 0.948 Co
0.000 0.000 0.106 Cu
0.000 0.000 0.211 Cu
0.000 0.000 0.421 Cu
0.000 0.000 0.158 Cu
0.000 0.000 0.263 Cu
0.000 0.000 0.316 Cu
0.000 0.000 0.368 Cu
0.000 0.000 0.577 Cu
0.000 0.500 0.003 O
0.000 0.500 0.105 O
0.000 0.500 0.211 O
0.000 0.500 0.421 O
0.000 0.000 0.658 O
0.000 0.000 0.710 O
0.000 0.500 0.684 O
0.000 0.000 0.816 O
0.000 0.000 0.922 O
0.000 0.000 0.974 O
0.500 0.000 0.003 O
0.500 0.000 0.053 O
0.500 0.000 0.105 O
0.500 0.000 0.158 O
0.500 0.000 0.211 O
0.500 0.000 0.263 O
0.500 0.000 0.316 O
0.500 0.000 0.368 O
0.500 0.000 0.421 O
0.500 0.000 0.473 O
0.500 0.000 0.525 O
0.500 0.000 0.575 O
0.500 0.000 0.684 O
0.500 0.000 0.632 O
0.500 0.000 0.790 O
0.500 0.000 0.737 O
0.500 0.000 0.844 O
0.500 0.000 0.895 O
0.500 0.000 0.948 O
0.000 0.500 0.053 O
0.000 0.500 0.158 O
0.000 0.500 0.263 O
0.000 0.500 0.316 O
0.000 0.500 0.368 O
0.000 0.500 0.473 O
0.000 0.500 0.525 O
0.000 0.500 0.575 O
0.000 0.500 0.632 O
0.000 0.500 0.737 O
0.000 0.000 0.606 O
0.000 0.000 0.763 O
0.000 0.500 0.790 O
0.000 0.500 0.844 O
0.000 0.500 0.895 O
0.000 0.500 0.948 O
0.000 0.000 0.869 O



No. 10
SrCo2As2O8 (GGA+U, optimized geometry); uncorrected energy = -156.49 eV per cell; ΔE to the lowest computed polymorph = 3.308 eV/f.u.; MP2020-corrected energy = -6.6936 eV per atom; ρ = 4.45 g/cm3; energy relative to the elements = -1.71 eV/atom; size of the total moment = 6.00 μB per formula unit
1.0
-2.181 3.156 -4.037
-3.860 -5.986 -1.509
-3.854 4.470 7.709
Sr Co As O
2 4 4 16
direct
0.671 0.780 0.525 Sr
0.329 0.220 0.475 Sr
0.528 0.645 0.879 Co
0.135 0.876 0.063 Co
0.472 0.355 0.121 Co
0.865 0.124 0.937 Co
0.929 0.417 0.750 As
0.071 0.583 0.250 As
0.229 0.870 0.716 As
0.771 0.130 0.284 As
0.613 0.263 0.972 O
0.772 0.537 0.275 O
0.730 0.433 0.603 O
0.538 0.835 0.779 O
0.122 0.818 0.242 O
0.387 0.737 0.028 O
0.462 0.165 0.221 O
0.270 0.567 0.397 O
0.137 0.406 0.095 O
0.854 0.001 0.084 O
0.146 0.999 0.916 O
0.878 0.182 0.758 O
0.318 0.022 0.624 O
0.682 0.978 0.376 O
0.863 0.594 0.905 O
0.228 0.463 0.725 O



No. 11
Sr2Al3FeO8 (GGA+U, optimized geometry); uncorrected energy = -197.14 eV per cell; MP2020-corrected energy = -7.5946 eV per atom; ρ = 3.58 g/cm3; energy relative to the elements = -3.12 eV/atom; size of the total moment = 5.00 μB per formula unit
1.0
-0.963 -8.574 2.565
5.183 -0.255 1.094
-0.987 2.540 8.118
Sr Al Fe O
4 6 2 16
direct
0.997 0.251 0.514 Sr
0.497 0.749 0.486 Sr
0.986 0.201 0.970 Sr
0.486 0.799 0.030 Sr
0.838 0.726 0.205 Al
0.338 0.274 0.795 Al
0.671 0.220 0.291 Al
0.171 0.780 0.709 Al
0.163 0.801 0.324 Al
0.663 0.199 0.676 Al
0.826 0.711 0.807 Fe
0.326 0.289 0.193 Fe
0.314 0.614 0.268 O
0.814 0.386 0.732 O
0.650 0.906 0.790 O
0.150 0.094 0.210 O
0.487 0.346 0.664 O
0.987 0.654 0.336 O
0.891 0.639 0.016 O
0.391 0.361 0.984 O
0.295 0.945 0.827 O
0.795 0.055 0.173 O
0.173 0.444 0.735 O
0.673 0.556 0.265 O
0.217 0.881 0.514 O
0.717 0.119 0.486 O
0.991 0.907 0.734 O
0.491 0.093 0.266 O



No. 12
Li2Ni3O6 (GGA+U, optimized geometry); uncorrected energy = -106.34 eV per cell; ΔE to the lowest computed polymorph = 0.180 eV/f.u.; MP2020-corrected energy = -5.9012 eV per atom; ρ = 4.61 g/cm3; energy relative to the elements = -1.28 eV/atom; size of the total moment = 2.00 μB per formula unit
1.0
-1.584 -3.246 3.299
-1.224 -4.482 -1.531
8.264 -5.617 2.054
Li Ni O
4 6 12
direct
0.591 0.414 0.243 Li
0.757 0.915 0.743 Li
0.414 0.591 0.743 Li
0.915 0.757 0.243 Li
0.497 0.333 0.503 Ni
0.667 0.831 0.002 Ni
0.169 0.003 0.493 Ni
0.333 0.497 0.003 Ni
0.831 0.667 0.502 Ni
0.003 0.169 0.993 Ni
0.018 0.863 0.893 O
0.484 0.939 0.606 O
0.199 0.377 0.400 O
0.312 0.776 0.105 O
0.115 0.661 0.602 O
0.377 0.199 0.900 O
0.939 0.484 0.106 O
0.776 0.312 0.605 O
0.565 0.689 0.393 O
0.661 0.115 0.102 O
0.689 0.565 0.893 O
0.863 0.018 0.393 O